1.
Entry from Materials Project: an optimized crystal structure of OsSe2Br12 (GGA-PBE).

Computed properties:
Electronic total energy (eV per atom): -2.68
Formation energy (eV/atom): -0.579
Energy with MP2020 corrections (eV for the cell shown): -46.6

Cell and atoms, written as POSCAR:
```
OsSe2Br12
1.0
7.244 -5.975 0.000
7.244 5.975 0.000
-2.791 0.000 6.436
Os Se Br
1 2 12
Direct
0.000 0.000 0.000 Os
0.277 0.277 0.269 Se
0.723 0.723 0.731 Se
0.039 0.748 0.754 Br
0.126 0.126 0.838 Br
0.214 0.522 0.204 Br
0.252 0.961 0.246 Br
0.350 0.350 0.644 Br
0.478 0.786 0.796 Br
0.522 0.214 0.204 Br
0.650 0.650 0.356 Br
0.748 0.039 0.754 Br
0.786 0.478 0.796 Br
0.874 0.874 0.162 Br
0.961 0.252 0.246 Br
```

2.
Entry from Materials Project: an optimized crystal structure of CrTe (GGA-PBE).

Computed properties:
Electronic total energy (eV per atom): -6.40
Formation energy (eV/atom): -0.210
Energy with MP2020 corrections (eV for the cell shown): -13.2

Cell and atoms, written as POSCAR:
```
CrTe
1.0
0.000 2.860 2.860
2.860 0.000 2.860
2.860 2.860 0.000
Cr Te
1 1
Direct
0.000 0.000 0.000 Cr
0.500 0.500 0.500 Te
```

3.
Entry from Materials Project: an optimized crystal structure of PrRe2 (GGA-PBE).

Computed properties:
Electronic total energy (eV per atom): -9.79
Formation energy (eV/atom): 0.098

Cell and atoms, written as POSCAR:
```
PrRe2
1.0
0.000 3.919 3.919
3.919 0.000 3.919
3.919 3.919 0.000
Pr Re
2 4
Direct
0.125 0.125 0.125 Pr
0.875 0.875 0.875 Pr
0.000 0.500 0.500 Re
0.500 0.000 0.500 Re
0.500 0.500 0.000 Re
0.500 0.500 0.500 Re
```